(1)
A relaxed Ba2ZrF8 crystal. Source: Materials Project, functional r²SCAN.

## Properties
Theoretical density: 5.3 g cm⁻³
VASP energy: -13.3300 eV per atom

Cell lengths 9.672, 5.617, 11.963 Å; angles 90.00, 90.00, 90.00 degrees
Positions (direct):
Ba 0.057 0.250 0.161
Ba 0.139 0.250 0.558
Ba 0.361 0.750 0.058
Ba 0.443 0.750 0.661
Ba 0.557 0.250 0.339
Ba 0.639 0.250 0.942
Ba 0.861 0.750 0.442
Ba 0.943 0.750 0.839
Zr 0.243 0.750 0.359
Zr 0.257 0.250 0.859
Zr 0.743 0.750 0.141
Zr 0.757 0.250 0.641
F 0.092 0.011 0.364
F 0.092 0.489 0.364
F 0.133 0.750 0.193
F 0.142 0.015 0.961
F 0.142 0.485 0.961
F 0.149 0.750 0.526
F 0.159 0.009 0.754
F 0.159 0.491 0.754
F 0.341 0.509 0.254
F 0.341 0.991 0.254
F 0.351 0.250 0.026
F 0.358 0.515 0.461
F 0.358 0.985 0.461
F 0.367 0.250 0.693
F 0.408 0.511 0.864
F 0.408 0.989 0.864
F 0.592 0.011 0.136
F 0.592 0.489 0.136
F 0.633 0.750 0.307
F 0.642 0.015 0.539
F 0.642 0.485 0.539
F 0.649 0.750 0.974
F 0.659 0.009 0.746
F 0.659 0.491 0.746
F 0.841 0.509 0.246
F 0.841 0.991 0.246
F 0.851 0.250 0.474
F 0.858 0.515 0.039
F 0.858 0.985 0.039
F 0.867 0.250 0.807
F 0.908 0.511 0.636
F 0.908 0.989 0.636

---

(2)
A relaxed BaZr2F10 crystal. Source: Materials Project, functional r²SCAN.

## Properties
Theoretical density: 4.2 g cm⁻³
VASP energy: -12.0215 eV per atom

Cell lengths 8.369, 8.369, 8.747 Å; angles 96.04, 96.04, 137.22 degrees
Positions (direct):
Ba 0.070 0.930 0.750
Ba 0.930 0.070 0.250
Zr 0.158 0.469 0.902
Zr 0.469 0.158 0.402
Zr 0.531 0.842 0.598
Zr 0.842 0.531 0.098
F 0.055 0.643 0.929
F 0.139 0.248 0.996
F 0.194 0.329 0.730
F 0.201 0.799 0.250
F 0.248 0.139 0.496
F 0.250 0.530 0.434
F 0.297 0.703 0.750
F 0.329 0.194 0.230
F 0.357 0.945 0.571
F 0.470 0.750 0.066
F 0.530 0.250 0.934
F 0.643 0.055 0.429
F 0.671 0.806 0.770
F 0.703 0.297 0.250
F 0.750 0.470 0.566
F 0.752 0.861 0.504
F 0.799 0.201 0.750
F 0.806 0.671 0.270
F 0.861 0.752 0.004
F 0.945 0.357 0.071

---

M_tot: 0.000; 0.000 (μB per cell)